# 1
# DyP5O14 (PBE-GGA, relaxed)
data_DyP5O14
_chemical_formula_sum 'Dy4 P20 O56'
_cell_length_a 8.770
_cell_length_b 8.971
_cell_length_c 13.019
_cell_angle_alpha 90.00
_cell_angle_beta 90.60
_cell_angle_gamma 90.00
_symmetry_space_group_name_H-M 'P 1 21/c 1'
_symmetry_Int_Tables_number 14
loop_
_symmetry_equiv_pos_as_xyz
'x,y,z'
'-x,-y,-z'
'-x,y+1/2,-z+1/2'
'x,-y+1/2,z+1/2'
loop_
_atom_site_label
_atom_site_type_symbol
_atom_site_fract_x
_atom_site_fract_y
_atom_site_fract_z
Dy1 Dy 0.222 0.186 0.002
P1 P 0.009 0.507 0.703
P2 P 0.185 0.743 0.500
P3 P 0.254 0.545 0.163
P4 P 0.276 0.549 0.838
P5 P 0.492 0.003 0.827
O1 O 0.029 0.689 0.993
O2 O 0.086 0.120 0.852
O3 O 0.088 0.569 0.206
O4 O 0.090 0.115 0.149
O5 O 0.131 0.600 0.774
O6 O 0.211 0.580 0.498
O7 O 0.270 0.099 0.387
O8 O 0.277 0.693 0.100
O9 O 0.281 0.095 0.606
O10 O 0.297 0.685 0.914
O11 O 0.363 0.581 0.257
O12 O 0.413 0.115 0.124
O13 O 0.414 0.583 0.765
O14 O 0.418 0.123 0.888
# * magnetic moment: 0.00 Bohr magnetons per cell
# * formation energy: -2.82 eV per atom
# * distance to the lowest polymorph of the same formula: 12 meV per atom
# * corrected total energy (MP2020 scheme): -7.868 eV/atom


# 2
# DyP3O9 (PBE-GGA, relaxed)
data_DyP3O9
_chemical_formula_sum 'Dy12 P36 O108'
_cell_length_a 11.444
_cell_length_b 20.286
_cell_length_c 10.209
_cell_angle_alpha 90.00
_cell_angle_beta 97.67
_cell_angle_gamma 90.00
_symmetry_space_group_name_H-M 'P 1 21/c 1'
_symmetry_Int_Tables_number 14
loop_
_symmetry_equiv_pos_as_xyz
'x,y,z'
'-x,-y,-z'
'-x,y+1/2,-z+1/2'
'x,-y+1/2,z+1/2'
loop_
_atom_site_label
_atom_site_type_symbol
_atom_site_fract_x
_atom_site_fract_y
_atom_site_fract_z
Dy1 Dy 0.000 0.000 0.000
Dy2 Dy 0.000 0.154 0.482
Dy3 Dy 0.497 0.677 0.028
Dy4 Dy 0.500 0.000 0.000
P1 P 0.133 0.722 0.325
P2 P 0.146 0.117 0.808
P3 P 0.181 0.041 0.318
P4 P 0.238 0.227 0.991
P5 P 0.246 0.612 0.477
P6 P 0.272 0.551 0.033
P7 P 0.322 0.708 0.698
P8 P 0.346 0.125 0.177
P9 P 0.360 0.066 0.691
O1 O 0.042 0.685 0.233
O2 O 0.055 0.121 0.689
O3 O 0.094 0.741 0.938
O4 O 0.108 0.071 0.413
O5 O 0.121 0.013 0.191
O6 O 0.123 0.584 0.471
O7 O 0.125 0.068 0.911
O8 O 0.159 0.190 0.870
O9 O 0.161 0.590 0.037
O10 O 0.164 0.216 0.523
O11 O 0.195 0.728 0.734
O12 O 0.242 0.173 0.107
O13 O 0.242 0.674 0.379
O14 O 0.267 0.514 0.892
O15 O 0.271 0.007 0.639
O16 O 0.276 0.110 0.768
O17 O 0.278 0.094 0.290
O18 O 0.286 0.641 0.623
O19 O 0.343 0.567 0.446
O20 O 0.361 0.242 0.962
O21 O 0.363 0.743 0.104
O22 O 0.379 0.075 0.081
O23 O 0.387 0.587 0.054
O24 O 0.393 0.105 0.576
O25 O 0.401 0.692 0.823
O26 O 0.441 0.166 0.252
O27 O 0.457 0.041 0.793
# * magnetic moment: 0.01 Bohr magnetons per cell
# * formation energy: -3.02 eV per atom
# * distance to the lowest polymorph of the same formula: 4 meV per atom
# * corrected total energy (MP2020 scheme): -8.046 eV/atom


# 3
# Dy2P4O13 (PBE-GGA, relaxed)
data_Dy2P4O13
_chemical_formula_sum 'Dy8 P16 O52'
_cell_length_a 8.950
_cell_length_b 9.628
_cell_length_c 13.995
_cell_angle_alpha 90.00
_cell_angle_beta 106.85
_cell_angle_gamma 90.00
_symmetry_space_group_name_H-M 'P 1 21/c 1'
_symmetry_Int_Tables_number 14
loop_
_symmetry_equiv_pos_as_xyz
'x,y,z'
'-x,-y,-z'
'-x,y+1/2,-z+1/2'
'x,-y+1/2,z+1/2'
loop_
_atom_site_label
_atom_site_type_symbol
_atom_site_fract_x
_atom_site_fract_y
_atom_site_fract_z
Dy1 Dy 0.024 0.005 0.222
Dy2 Dy 0.449 0.501 0.736
P1 P 0.151 0.240 0.438
P2 P 0.217 0.207 0.657
P3 P 0.289 0.733 0.346
P4 P 0.494 0.248 0.441
O1 O 0.052 0.132 0.912
O2 O 0.115 0.122 0.364
O3 O 0.119 0.129 0.711
O4 O 0.132 0.179 0.540
O5 O 0.143 0.666 0.359
O6 O 0.217 0.132 0.172
O7 O 0.253 0.633 0.781
O8 O 0.332 0.211 0.964
O9 O 0.382 0.152 0.678
O10 O 0.387 0.632 0.307
O11 O 0.393 0.706 0.952
O12 O 0.445 0.624 0.597
O13 O 0.471 0.121 0.377
# * magnetic moment: 0.00 Bohr magnetons per cell
# * formation energy: -3.15 eV per atom
# * distance to the lowest polymorph of the same formula: 15 meV per atom
# * corrected total energy (MP2020 scheme): -8.164 eV/atom


# 4
# DyP2O2 (PBE-GGA, relaxed)
data_DyP2O2
_chemical_formula_sum 'Dy8 P16 O16'
_cell_length_a 9.602
_cell_length_b 9.602
_cell_length_c 7.930
_cell_angle_alpha 90.00
_cell_angle_beta 90.00
_cell_angle_gamma 90.00
_symmetry_space_group_name_H-M 'I 41/a m d'
_symmetry_Int_Tables_number 141
loop_
_symmetry_equiv_pos_as_xyz
'x,y,z'
'-x,-y,-z'
'-y+1/4,x+3/4,z+1/4'
'y+1/4,-x+3/4,-z+1/4'
'-x+1/2,-y,z+1/2'
'x+1/2,y,-z+1/2'
'y+1/4,-x+1/4,z+3/4'
'-y+1/4,x+1/4,-z+3/4'
'x,-y,-z'
'-x,y,z'
'-y+1/4,-x+1/4,-z+3/4'
'y+1/4,x+1/4,z+3/4'
'-x+1/2,y,-z+1/2'
'x+1/2,-y,z+1/2'
'y+1/4,x+3/4,-z+1/4'
'-y+1/4,-x+3/4,z+1/4'
'x+1/2,y+1/2,z+1/2'
'-x+1/2,-y+1/2,-z+1/2'
'-y+3/4,x+1/4,z+3/4'
'y+3/4,-x+1/4,-z+3/4'
'-x,-y+1/2,z'
'x,y+1/2,-z'
'y+3/4,-x+3/4,z+1/4'
'-y+3/4,x+3/4,-z+1/4'
'x+1/2,-y+1/2,-z+1/2'
'-x+1/2,y+1/2,z+1/2'
'-y+3/4,-x+3/4,-z+1/4'
'y+3/4,x+3/4,z+1/4'
'-x,y+1/2,-z'
'x,-y+1/2,z'
'y+3/4,x+1/4,-z+3/4'
'-y+3/4,-x+1/4,z+3/4'
loop_
_atom_site_label
_atom_site_type_symbol
_atom_site_fract_x
_atom_site_fract_y
_atom_site_fract_z
Dy1 Dy 0.000 0.000 0.000
P1 P 0.000 0.038 0.638
O1 O 0.000 0.100 0.253
# * magnetic moment: 0.00 Bohr magnetons per cell
# * formation energy: -1.33 eV per atom
# * distance to the lowest polymorph of the same formula: 280 meV per atom
# * corrected total energy (MP2020 scheme): -6.397 eV/atom


# 5
# DyP5O14 (PBE-GGA, relaxed)
data_DyP5O14
_chemical_formula_sum 'Dy8 P40 O112'
_cell_length_a 13.044
_cell_length_b 12.933
_cell_length_c 12.603
_cell_angle_alpha 90.00
_cell_angle_beta 91.55
_cell_angle_gamma 90.00
_symmetry_space_group_name_H-M 'C 1 2/c 1'
_symmetry_Int_Tables_number 15
loop_
_symmetry_equiv_pos_as_xyz
'x,y,z'
'-x,-y,-z'
'-x,y,-z+1/2'
'x,-y,z+1/2'
'x+1/2,y+1/2,z'
'-x+1/2,-y+1/2,-z'
'-x+1/2,y+1/2,-z+1/2'
'x+1/2,-y+1/2,z+1/2'
loop_
_atom_site_label
_atom_site_type_symbol
_atom_site_fract_x
_atom_site_fract_y
_atom_site_fract_z
Dy1 Dy 0.000 0.021 0.250
Dy2 Dy 0.000 0.468 0.250
P1 P 0.024 0.349 0.533
P2 P 0.146 0.032 0.000
P3 P 0.148 0.168 0.605
P4 P 0.178 0.249 0.258
P5 P 0.182 0.364 0.891
O1 O 0.025 0.396 0.426
O2 O 0.059 0.405 0.631
O3 O 0.076 0.064 0.086
O4 O 0.085 0.240 0.524
O5 O 0.089 0.127 0.694
O6 O 0.092 0.303 0.945
O7 O 0.114 0.035 0.887
O8 O 0.116 0.156 0.281
O9 O 0.130 0.350 0.231
O10 O 0.151 0.450 0.821
O11 O 0.194 0.083 0.529
O12 O 0.242 0.272 0.837
O13 O 0.243 0.237 0.639
O14 O 0.250 0.102 0.009
# * formation energy: -2.83 eV per atom
# * distance to the lowest polymorph of the same formula: 0 meV per atom
# * corrected total energy (MP2020 scheme): -7.880 eV/atom